# 1
## Li2TiVO4 (PBE+U)

Data for a relaxed Li2TiVO4 crystal.

Computed properties:
The calculation puts the magnetization at 0.00 μB/cell. The excess energy over the best structure of this formula in the dataset comes out at 16.7 meV/atom.

Cell lengths 4.134, 15.110, 5.221 Å; angles 98.48, 66.67, 90.00 degrees
Positions (direct):
Li1 0.311 0.937 0.379
Li2 0.811 0.437 0.378
Li3 0.062 0.187 0.876
Li4 0.561 0.687 0.877
Li5 0.626 0.875 0.748
Li6 0.126 0.375 0.748
Li7 0.375 0.125 0.249
Li8 0.875 0.625 0.249
Ti1 0.687 0.061 0.627
Ti2 0.186 0.562 0.627
Ti3 0.439 0.314 0.121
Ti4 0.939 0.814 0.122
V1 0.498 0.499 0.004
V2 0.250 0.750 0.500
V3 0.998 0.999 0.003
V4 0.750 0.250 0.500
O1 0.857 0.121 0.285
O2 0.357 0.621 0.285
O3 0.613 0.369 0.774
O4 0.113 0.869 0.773
O5 0.516 0.006 0.968
O6 0.016 0.506 0.968
O7 0.267 0.255 0.466
O8 0.767 0.755 0.466
O9 0.813 0.938 0.374
O10 0.313 0.438 0.374
O11 0.566 0.188 0.868
O12 0.066 0.688 0.868
O13 0.184 0.061 0.632
O14 0.684 0.561 0.632
O15 0.936 0.312 0.129
O16 0.436 0.812 0.129

---

# 2
## LiMnO2 (PBE+U)

Data for a relaxed LiMnO2 crystal.

Computed properties:
The calculation puts the magnetization at 24.01 μB/cell.

Cell lengths 5.251, 5.870, 7.316 Å; angles 91.01, 93.44, 90.72 degrees
Positions (direct):
Li1 0.094 0.374 0.321
Li2 0.263 0.620 0.992
Li3 0.405 0.870 0.673
Li4 0.595 0.130 0.327
Li5 0.737 0.380 0.008
Li6 0.906 0.626 0.679
Mn1 0.089 0.877 0.335
Mn2 0.254 0.134 0.005
Mn3 0.416 0.384 0.667
Mn4 0.584 0.616 0.333
Mn5 0.746 0.866 0.995
Mn6 0.911 0.123 0.665
O1 0.081 0.901 0.833
O2 0.113 0.363 0.827
O3 0.219 0.129 0.510
O4 0.269 0.639 0.479
O5 0.390 0.887 0.169
O6 0.413 0.369 0.164
O7 0.587 0.631 0.836
O8 0.610 0.113 0.831
O9 0.731 0.361 0.521
O10 0.781 0.871 0.490
O11 0.887 0.637 0.173
O12 0.919 0.099 0.167

---

Number 1: energy of formation -2.735 eV/atom, uncorrected energy -7.25 eV/atom. Number 2: energy of formation -2.128 eV/atom, uncorrected energy -6.61 eV/atom.